A plane-wave DFT calculation with PBE+U was carried out for a relaxed Mn5Cr3O16 crystal.

Properties
Crystal system: triclinic
ΔH_f (0 K), meV/atom: -1801
Electronic total energy, eV/atom: -7.1600
M_tot, Bohr magnetons per cell: 42.0

Unit cell a=5.8342 b=5.8447 c=19.3583 alpha=98.67 beta=89.92 gamma=119.99
Element x y z (fractional)
O 0.7705 0.1017 0.9338
O 0.0195 0.5992 0.6834
O 0.0809 0.1626 0.1836
O 0.8337 0.6643 0.4343
O 0.0801 0.6007 0.1837
O 0.3085 0.6184 0.4258
O 0.7295 0.8983 0.5663
O 0.6695 0.8993 0.0661
O 0.4172 0.3981 0.3159
O 0.4805 0.4008 0.8165
O 0.3314 0.6634 0.9339
O 0.1692 0.8985 0.5663
O 0.4163 0.8355 0.3157
O 0.9796 0.3995 0.3163
O 0.8089 0.6182 0.9259
O 0.1911 0.3818 0.0739
O 0.6910 0.3815 0.5741
O 0.2295 0.8991 0.0662
O 0.5204 0.6009 0.1837
O 0.9203 0.4010 0.8165
O 0.1690 0.3371 0.5662
O 0.5589 0.1182 0.1760
O 0.5799 0.5992 0.6835
O 0.9198 0.8392 0.8172
O 0.4412 0.8818 0.8238
O 0.6687 0.3370 0.0662
O 0.0590 0.1185 0.6762
O 0.3312 0.1015 0.9339
O 0.8327 0.1017 0.4342
O 0.9415 0.8816 0.3242
O 0.2703 0.1004 0.4338
O 0.5803 0.1609 0.6828
Mn 0.8751 0.2500 0.1250
Mn 0.1250 0.7499 0.3750
Mn 0.3749 0.2499 0.1250
Mn 0.3742 0.2490 0.6249
Mn 0.9999 0.9996 0.5003
Mn 0.5001 0.0002 0.0000
Mn 0.8748 0.2490 0.6249
Mn 0.2499 0.5002 0.2497
Mn 0.6253 0.7511 0.8751
Mn 0.1258 0.7511 0.8751
Cr 0.7499 0.4999 0.7500
Cr 0.6252 0.2503 0.8752
Cr 0.6250 0.7499 0.3750
Cr 0.8750 0.7496 0.6248
Cr 0.3749 0.7502 0.1249
Cr 0.1250 0.2500 0.3751